Run a
First-principles (PBE with a Hubbard U) data for Li2CrSi2O6 after structural relaxation, as listed in Materials Project.

Output
SG   Pmn2_1 (31)

abc: 7.0281 10.1284 10.2858
angles: 90.00 90.00 90.00
Closest atoms and distances in Å follow each position.
Positions (direct):
Li  0.4949  0.5031  0.0000  4 O 2.07-2.26
Li  0.7333  0.7358  0.0000  4 O 2.05-2.10
Li  0.2990  0.4570  0.2075  5 O 2.05-2.28
Li  0.7697  0.5074  0.2325  2 O 1.99-2.16
Li  0.2303  0.0074  0.2675  2 O 1.99-2.16
Li  0.7010  0.9570  0.2925  5 O 2.05-2.28
Li  0.2667  0.2358  0.5000  4 O 2.05-2.10
Li  0.5051  0.0031  0.5000  4 O 2.07-2.26
Li  0.7010  0.9570  0.7075  5 O 2.05-2.28
Li  0.2303  0.0074  0.7325  2 O 1.99-2.16
Li  0.7697  0.5074  0.7675  2 O 1.99-2.16
Li  0.2990  0.4570  0.7925  5 O 2.05-2.28
Cr  0.9854  0.9996  0.0000  4 O 2.16-2.22
Cr  0.2484  0.2444  0.0000  4 O 2.06
Cr  0.7390  0.2527  0.0000  2 O 2.02-2.04
Cr  0.0146  0.4996  0.5000  4 O 2.16-2.22
Cr  0.2610  0.7527  0.5000  2 O 2.02-2.04
Cr  0.7516  0.7444  0.5000  4 O 2.06
Si  0.9888  0.5453  0.0000  4 O 1.60-1.69
Si  0.5104  0.9491  0.0000  4 O 1.61-1.68
Si  0.0171  0.7609  0.2294  4 O 1.62-1.67
Si  0.4741  0.7368  0.2253  4 O 1.61-1.67
Si  0.5259  0.2368  0.2747  4 O 1.61-1.67
Si  0.9829  0.2609  0.2706  4 O 1.62-1.67
Si  0.4896  0.4491  0.5000  4 O 1.61-1.68
Si  0.0112  0.0453  0.5000  4 O 1.60-1.69
Si  0.9829  0.2609  0.7294  4 O 1.62-1.67
Si  0.5259  0.2368  0.7253  4 O 1.61-1.67
Si  0.4741  0.7368  0.7747  4 O 1.61-1.67
Si  0.0171  0.7609  0.7706  4 O 1.62-1.67
O  0.2934  0.0000  0.0000  1 Si 1.61
O  0.2013  0.4890  0.0000  1 Si 1.60
O  0.6884  0.0540  0.0000  1 Si 1.64
O  0.8058  0.4471  0.0000  1 Si 1.63
O  0.5667  0.8466  0.1219  2 Si 1.67-1.68
O  0.9354  0.6487  0.1237  2 Si 1.67-1.69
O  0.0299  0.2028  0.1275  1 Si 1.62
O  0.4586  0.2890  0.1323  1 Si 1.63
O  0.5232  0.5886  0.1815  1 Si 1.61
O  0.9447  0.9085  0.1947  1 Si 1.62
O  0.2475  0.7697  0.2170  2 Si 1.63
O  0.7525  0.2697  0.2830  2 Si 1.63
O  0.0553  0.4085  0.3053  1 Si 1.62
O  0.4768  0.0886  0.3185  1 Si 1.61
O  0.5414  0.7890  0.3677  1 Si 1.63
O  0.9701  0.7028  0.3725  1 Si 1.62
O  0.0646  0.1487  0.3763  2 Si 1.67-1.69
O  0.4333  0.3466  0.3781  2 Si 1.67-1.68
O  0.7066  0.5000  0.5000  1 Si 1.61
O  0.3116  0.5540  0.5000  1 Si 1.64
O  0.7987  0.9890  0.5000  1 Si 1.60
O  0.1942  0.9471  0.5000  1 Si 1.63
O  0.4333  0.3466  0.6219  2 Si 1.67-1.68
O  0.0646  0.1487  0.6237  2 Si 1.67-1.69
O  0.9701  0.7028  0.6275  1 Si 1.62
O  0.5414  0.7890  0.6323  1 Si 1.63
O  0.4768  0.0886  0.6815  1 Si 1.61
O  0.0553  0.4085  0.6947  1 Si 1.62
O  0.7525  0.2697  0.7170  2 Si 1.63
O  0.2475  0.7697  0.7830  2 Si 1.63
O  0.9447  0.9085  0.8053  1 Si 1.62
O  0.5232  0.5886  0.8185  1 Si 1.61
O  0.4586  0.2890  0.8677  1 Si 1.63
O  0.0299  0.2028  0.8725  1 Si 1.62
O  0.9354  0.6487  0.8763  2 Si 1.67-1.69
O  0.5667  0.8466  0.8781  2 Si 1.67-1.68

=====

Run b
First-principles (PBE with a Hubbard U) data for Li2CrSi2O6 after structural relaxation, as listed in Materials Project.

Output
SG   P1 (1)

abc: 5.1972 10.4855 5.1958
angles: 105.72 95.34 74.26
Closest atoms and distances in Å follow each position.
Positions (direct):
Li  0.5088  0.8389  0.9237  3 O 1.95-1.98
Li  0.0969  0.6641  0.8366  3 O 1.95-1.99
Li  0.8363  0.3389  0.0979  3 O 1.95-1.98
Li  0.9239  0.1640  0.5107  3 O 1.95-1.98
Cr  0.6788  0.5013  0.6792  4 O 2.01-2.16
Cr  0.9278  0.0015  0.9295  4 O 2.01-2.16
Si  0.1934  0.8361  0.3837  4 O 1.62-1.68
Si  0.7780  0.6671  0.2991  4 O 1.62-1.68
Si  0.2991  0.3355  0.7796  4 O 1.62-1.68
Si  0.3829  0.1669  0.1952  4 O 1.62-1.68
O  0.0956  0.9872  0.5853  1 Si 1.62
O  0.1744  0.8310  0.0671  1 Si 1.63
O  0.0243  0.7349  0.4569  2 Si 1.67-1.68
O  0.5076  0.7683  0.4737  2 Si 1.67-1.68
O  0.7540  0.6721  0.9876  1 Si 1.63
O  0.8316  0.5160  0.3495  1 Si 1.62
O  0.3493  0.4866  0.8314  1 Si 1.62
O  0.9877  0.3305  0.7556  1 Si 1.63
O  0.4737  0.2337  0.5096  2 Si 1.67-1.68
O  0.4563  0.2684  0.0269  2 Si 1.67-1.68
O  0.0663  0.1725  0.1767  1 Si 1.63
O  0.5837  0.0156  0.0957  1 Si 1.62

=====

Most stable: run b

=====

Run a
First-principles (PBE with a Hubbard U) data for Li2CrSi2O6 after structural relaxation, as listed in Materials Project.

Output
SG   C2/c (15)

abc: 5.8607 5.8603 9.1255
angles: 89.68 90.39 62.01
Closest atoms and distances in Å follow each position.
Positions (direct):
Li  0.5904  0.6908  0.8860  3 O 1.95-2.07
Li  0.3097  0.4093  0.3859  3 O 1.95-2.07
Li  0.6903  0.5907  0.6141  3 O 1.95-2.07
Li  0.4096  0.3093  0.1140  3 O 1.95-2.07
Cr  0.2439  0.2443  0.7499  4 O 2.07-2.11
Cr  0.7561  0.7558  0.2502  4 O 2.07-2.11
Si  0.1283  0.8012  0.6384  4 O 1.62-1.67
Si  0.1989  0.8717  0.1384  4 O 1.62-1.67
Si  0.8011  0.1283  0.8616  4 O 1.62-1.67
Si  0.8717  0.1988  0.3616  4 O 1.62-1.67
O  0.3544  0.8504  0.7164  1 Si 1.64
O  0.1499  0.6454  0.2163  1 Si 1.64
O  0.2353  0.5027  0.5915  1 Si 1.62
O  0.4973  0.7648  0.0917  1 Si 1.62
O  0.8781  0.8782  0.7499  2 Si 1.67
O  0.0000  0.0000  0.5000  2 Si 1.63
O  0.1219  0.1218  0.2501  2 Si 1.67
O  0.0000  0.0000  0.0000  2 Si 1.63
O  0.5027  0.2351  0.9083  1 Si 1.62
O  0.7648  0.4972  0.4085  1 Si 1.62
O  0.8501  0.3546  0.7836  1 Si 1.64
O  0.6455  0.1496  0.2835  1 Si 1.64

=====

Run b
First-principles (PBE with a Hubbard U) data for Li2CrSi2O6 after structural relaxation, as listed in Materials Project.

Output
SG   Fdd2 (43)

abc: 10.8189 10.7886 5.1098
angles: 76.65 75.99 27.36
Closest atoms and distances in Å follow each position.
Positions (direct):
Li  0.4290  0.9041  0.1104  3 O 1.90-2.13
Li  0.3459  0.8210  0.6935  3 O 1.90-2.13
Li  0.6935  0.1396  0.3459  3 O 1.90-2.13
Li  0.1104  0.5565  0.4290  3 O 1.90-2.13
Cr  0.2449  0.7551  0.2449  4 O 2.07-2.15
Cr  0.4949  0.0051  0.4949  4 O 2.07-2.15
Si  0.9309  0.3997  0.5083  4 O 1.61-1.68
Si  0.8503  0.3191  0.0889  4 O 1.61-1.68
Si  0.0889  0.7417  0.8503  4 O 1.61-1.68
Si  0.5083  0.1611  0.9309  4 O 1.61-1.68
O  0.8981  0.5810  0.4358  1 Si 1.61
O  0.2445  0.0746  0.4976  1 Si 1.64
O  0.7595  0.4882  0.8049  2 Si 1.64-1.68
O  0.7618  0.4905  0.3025  2 Si 1.64-1.68
O  0.1754  0.0055  0.0668  1 Si 1.64
O  0.6690  0.3519  0.1648  1 Si 1.61
O  0.1648  0.8142  0.6690  1 Si 1.61
O  0.0668  0.7524  0.1754  1 Si 1.64
O  0.3025  0.4451  0.7618  2 Si 1.64-1.68
O  0.8049  0.9475  0.7595  2 Si 1.64-1.68
O  0.4976  0.1832  0.2445  1 Si 1.64
O  0.4358  0.0852  0.8981  1 Si 1.61

=====

Most stable: run a

=====

Run a
First-principles (PBE with a Hubbard U) data for Li2CrSi4O11 after structural relaxation, as listed in Materials Project.

Output
SG   C2/c (15)

abc: 7.1864 7.1864 8.2126
angles: 81.12 81.12 83.38
Closest atoms and distances in Å follow each position.
Positions (direct):
Li  0.9220  0.0780  0.7500  3 O 2.02-2.05
Li  0.6506  0.3494  0.7500  4 O 2.07-2.10
Li  0.3494  0.6506  0.2500  4 O 2.07-2.10
Li  0.0780  0.9220  0.2500  3 O 2.02-2.05
Cr  0.0000  0.5000  0.5000  6 O 1.85-2.03
Cr  0.5000  0.0000  0.0000  6 O 1.85-2.03
Si  0.6576  0.7760  0.6620  4 O 1.61-1.66
Si  0.7760  0.6576  0.1620  4 O 1.61-1.66
Si  0.2521  0.8390  0.5633  4 O 1.62-1.66
Si  0.1610  0.7479  0.9367  4 O 1.62-1.66
Si  0.8390  0.2521  0.0633  4 O 1.62-1.66
Si  0.7479  0.1610  0.4367  4 O 1.62-1.66
Si  0.2240  0.3424  0.8380  4 O 1.61-1.66
Si  0.3424  0.2240  0.3380  4 O 1.61-1.66
O  0.7558  0.9453  0.5336  2 Si 1.63
O  0.6061  0.8471  0.8415  1 Si 1.61
O  0.9453  0.7558  0.0336  2 Si 1.63
O  0.8471  0.6061  0.3415  1 Si 1.61
O  0.8012  0.5846  0.6762  1 Si 1.62
O  0.5846  0.8012  0.1762  1 Si 1.62
O  0.4637  0.7396  0.5900  2 Si 1.64-1.66
O  0.8506  0.2690  0.5522  1 Si 1.62
O  0.7396  0.4637  0.0900  2 Si 1.64-1.66
O  0.1335  0.8665  0.7500  2 Si 1.66
O  0.7310  0.1494  0.9478  1 Si 1.62
O  0.2690  0.8506  0.0522  1 Si 1.62
O  0.8665  0.1335  0.2500  2 Si 1.66
O  0.2604  0.5363  0.9100  2 Si 1.64-1.66
O  0.1494  0.7310  0.4478  1 Si 1.62
O  0.5363  0.2604  0.4100  2 Si 1.64-1.66
O  0.4154  0.1988  0.8238  1 Si 1.62
O  0.1988  0.4154  0.3238  1 Si 1.62
O  0.1529  0.3939  0.6585  1 Si 1.61
O  0.0547  0.2442  0.9664  2 Si 1.63
O  0.3939  0.1529  0.1585  1 Si 1.61
O  0.2442  0.0547  0.4664  2 Si 1.63

=====

Run b
First-principles (PBE with a Hubbard U) data for Li2CrSi4O11 after structural relaxation, as listed in Materials Project.

Output
SG   I4/m (87)

abc: 8.4418 8.4418 8.4418
angles: 101.98 101.98 125.79
Closest atoms and distances in Å follow each position.
Positions (direct):
Li  0.6552  0.6213  0.2765  3 O 2.02-2.09
Li  0.3787  0.6552  0.0338  3 O 2.02-2.09
Li  0.6213  0.3448  0.9662  3 O 2.02-2.09
Li  0.3448  0.3787  0.7235  3 O 2.02-2.09
Cr  0.2447  0.2447  0.0000  6 O 1.88-1.99
Cr  0.7553  0.7553  0.0000  6 O 1.88-1.99
Si  0.4999  0.1778  0.2856  4 O 1.61-1.65
Si  0.1077  0.7857  0.2856  4 O 1.61-1.65
Si  0.1778  0.8923  0.6779  4 O 1.61-1.65
Si  0.7857  0.5001  0.6779  4 O 1.61-1.65
Si  0.8222  0.1077  0.3221  4 O 1.61-1.65
Si  0.2143  0.4999  0.3221  4 O 1.61-1.65
Si  0.8923  0.2143  0.7144  4 O 1.61-1.65
Si  0.5001  0.8222  0.7144  4 O 1.61-1.65
O  0.0000  0.0000  0.0000  2 Cr 1.88
O  0.5000  0.5000  0.0000  2 Cr 1.96, 4 Li 2.09
O  0.4541  0.2149  0.1079  1 Si 1.61
O  0.8931  0.6538  0.1079  1 Si 1.61
O  0.2860  0.0374  0.3234  2 Si 1.63
O  0.6775  0.4101  0.4597  2 Si 1.64-1.65
O  0.0495  0.7822  0.4597  2 Si 1.64-1.65
O  0.5899  0.0495  0.2673  2 Si 1.64-1.65
O  0.2178  0.6775  0.2673  2 Si 1.64-1.65
O  0.2149  0.1069  0.7608  1 Si 1.61
O  0.6538  0.5459  0.7608  1 Si 1.61
O  0.9626  0.2860  0.2486  2 Si 1.63
O  0.0374  0.7140  0.7514  2 Si 1.63
O  0.3462  0.4541  0.2392  1 Si 1.61
O  0.7851  0.8931  0.2392  1 Si 1.61
O  0.7822  0.3225  0.7327  2 Si 1.64-1.65
O  0.4101  0.9505  0.7327  2 Si 1.64-1.65
O  0.9505  0.2178  0.5403  2 Si 1.64-1.65
O  0.3225  0.5899  0.5403  2 Si 1.64-1.65
O  0.7140  0.9626  0.6766  2 Si 1.63
O  0.1069  0.3462  0.8921  1 Si 1.61
O  0.5459  0.7851  0.8921  1 Si 1.61

=====

Most stable: run b

=====

Run a
First-principles (PBE with a Hubbard U) data for Li2Cr3SnO8 after structural relaxation, as listed in Materials Project.

Output
SG   R-3m (166)

abc: 6.1288 6.1286 6.1285
angles: 58.64 58.64 58.64
Closest atoms and distances in Å follow each position.
Positions (direct):
Li  0.1189  0.1189  0.1189  3 O 1.99
Li  0.8811  0.8811  0.8811  3 O 1.99
Cr  0.0000  0.5000  0.5000  6 O 1.98-2.03
Cr  0.5000  0.0000  0.5000  6 O 1.98-2.03
Cr  0.5000  0.5000  0.0000  6 O 1.98-2.03
Sn  0.5000  0.5000  0.5000  6 O 2.10
O  0.2696  0.2698  0.2697  3 Cr 1.98
O  0.2568  0.2569  0.7151  1 Li 1.99, 2 Cr 2.03, 1 Sn 2.10
O  0.2568  0.7151  0.2569  1 Li 1.99, 2 Cr 2.03, 1 Sn 2.10
O  0.7151  0.2569  0.2569  1 Li 1.99, 2 Cr 2.03, 1 Sn 2.10
O  0.2849  0.7431  0.7432  1 Li 1.99, 2 Cr 2.03, 1 Sn 2.10
O  0.7432  0.2849  0.7431  1 Li 1.99, 2 Cr 2.03, 1 Sn 2.10
O  0.7432  0.7431  0.2849  1 Li 1.99, 2 Cr 2.03, 1 Sn 2.10
O  0.7304  0.7302  0.7302  3 Cr 1.98

=====

Run b
First-principles (PBE with a Hubbard U) data for Li2Cr3SnO8 after structural relaxation, as listed in Materials Project.

Output
SG   P6_3mc (186)

abc: 5.9557 5.9557 9.6899
angles: 90.00 90.00 120.00
Closest atoms and distances in Å follow each position.
Positions (direct):
Li  0.3333  0.6667  0.8917  4 O 1.96-2.09
Li  0.0000  0.0000  0.9937  4 O 1.85-1.95
Li  0.0000  0.0000  0.4937  4 O 1.85-1.95
Li  0.6667  0.3333  0.3917  4 O 1.96-2.09
Cr  0.1708  0.8292  0.2164  6 O 1.95-2.04
Cr  0.1708  0.3416  0.2164  6 O 1.95-2.04
Cr  0.6584  0.8292  0.2164  6 O 1.95-2.04
Cr  0.3416  0.1708  0.7164  6 O 1.95-2.04
Cr  0.8292  0.6584  0.7164  6 O 1.95-2.04
Cr  0.8292  0.1708  0.7164  6 O 1.95-2.04
Sn  0.3333  0.6667  0.4942  6 O 2.07-2.16
Sn  0.6667  0.3333  0.9942  6 O 2.07-2.16
O  0.1597  0.8403  0.6008  1 Li 1.95, 2 Cr 2.04, 1 Sn 2.07
O  0.0340  0.5170  0.3379  1 Li 1.96, 2 Cr 2.00, 1 Sn 2.16
O  0.3333  0.6667  0.1073  3 Cr 1.98, 1 Li 2.09
O  0.0000  0.0000  0.3026  1 Li 1.85, 3 Cr 1.95
O  0.0000  0.0000  0.8026  1 Li 1.85, 3 Cr 1.95
O  0.1597  0.3194  0.6008  1 Li 1.95, 2 Cr 2.04, 1 Sn 2.07
O  0.4830  0.9660  0.3379  1 Li 1.96, 2 Cr 2.00, 1 Sn 2.16
O  0.4830  0.5170  0.3379  1 Li 1.96, 2 Cr 2.00, 1 Sn 2.16
O  0.3194  0.1597  0.1008  1 Li 1.95, 2 Cr 2.04, 1 Sn 2.07
O  0.6806  0.8403  0.6008  1 Li 1.95, 2 Cr 2.04, 1 Sn 2.07
O  0.5170  0.4830  0.8379  1 Li 1.96, 2 Cr 2.00, 1 Sn 2.16
O  0.5170  0.0340  0.8379  1 Li 1.96, 2 Cr 2.00, 1 Sn 2.16
O  0.6667  0.3333  0.6073  3 Cr 1.98, 1 Li 2.09
O  0.8403  0.6806  0.1008  1 Li 1.95, 2 Cr 2.04, 1 Sn 2.07
O  0.9660  0.4830  0.8379  1 Li 1.96, 2 Cr 2.00, 1 Sn 2.16
O  0.8403  0.1597  0.1008  1 Li 1.95, 2 Cr 2.04, 1 Sn 2.07

=====

Most stable: run b